(1)
A geometry-optimized CaCuBiO5 structure, computed with PBE.

```
32
Lattice="-2.7927 -4.8164 9.5040 1.6082 -4.9768 -2.0496 7.6507 -0.2657 2.1135" Properties=species:S:1:pos:R:3 pbc="T T T"
Ca 6.6233 -3.3167 1.4857
Ca -0.1571 -6.7422 8.0821
Ca 4.5307 -5.3877 6.2040
Ca 1.9355 -4.6712 3.3639
Cu -0.5255 -2.4305 3.1973
Cu 6.9917 -7.6284 6.3705
Cu 2.5573 -8.5460 7.3867
Cu 3.9090 -1.5128 2.1812
Bi 5.5222 -9.5117 8.2896
Bi 0.9441 -0.5472 1.2783
Bi 2.5339 -7.9352 4.3841
Bi 3.9323 -2.1237 5.1838
O 3.8411 -8.1988 8.6838
O 5.2853 -1.3014 0.9176
O 0.2480 -4.3997 7.9084
O 3.7363 -6.1405 3.9092
O 3.3749 -7.3705 6.2877
O -0.6880 -7.6473 6.0393
O 0.0742 -3.5586 4.5770
O 6.3921 -6.5003 4.9908
O 2.7299 -3.9184 5.6586
O 5.5159 -3.6047 5.1214
O 3.0914 -2.6884 3.2802
O 2.6252 -1.8601 0.8841
O 0.9503 -6.4541 4.4465
O 7.1543 -2.4116 3.5285
O -2.2907 -5.8470 8.6697
O 8.7570 -4.2119 0.8982
O 6.2182 -5.6592 1.6595
O 1.1809 -8.7575 8.6502
O 2.1780 -5.8970 1.3340
O 4.2883 -4.1619 8.2339
```

Results
The value obtained for the total energy is -5.56 eV per atom. The relative energy among the computed polymorphs is 0 meV per atom. As for the space-group type: P2_1/c, No. 14. The value obtained for the volume is 480.6 Å³/cell.

***

(2)
A geometry-optimized Y2MgSe4 structure, computed with PBE.

```
28
Lattice="-6.0434 -4.6673 0.0938 5.0049 -6.5008 -1.0152 1.0207 -1.0813 11.9556" Properties=species:S:1:pos:R:3 pbc="T T T"
Y -3.9512 -4.1788 3.7738
Y 3.9333 -8.0707 7.2603
Y 1.5620 -4.9591 9.3029
Y -1.5798 -7.2904 1.7313
Y -1.1595 -1.6186 0.1813
Y 1.1416 -10.6308 10.8529
Y -1.8327 -6.8805 5.8331
Y 1.8148 -5.3690 5.2011
Mg -0.1851 -2.7892 4.7104
Mg 0.1673 -9.4602 6.3238
Mg -2.0137 -6.5504 10.5966
Mg 1.9959 -5.6991 0.4376
Se -1.5217 -4.0668 9.9872
Se 1.5039 -8.1827 1.0469
Se -0.8103 -5.1317 3.7599
Se 0.7925 -7.1177 7.2743
Se 3.8051 -4.7911 7.2275
Se -3.8230 -7.4584 3.8067
Se -1.5088 -10.5094 1.0937
Se 1.4909 -1.7401 9.9405
Se 3.4109 -7.4496 4.5032
Se -3.4288 -4.7998 6.5310
Se -0.5172 -8.4837 10.8153
Se 0.4994 -3.7658 0.2188
Se -3.2785 -5.1019 1.1805
Se 3.2607 -7.1476 9.8537
Se 0.4769 -3.5991 7.0661
Se -0.4948 -8.6503 3.9681
```

Results
The value obtained for the total energy is -5.55 eV per atom. The relative energy among the computed polymorphs is 224 meV per atom. As for the space-group type: Pnma, No. 62. The value obtained for the volume is 760.6 Å³/cell.

***

(3)
A geometry-optimized MgBi3O7 structure, computed with PBE.

```
44
Lattice="5.6039 0.0000 0.0000 0.0000 10.8079 0.0000 0.0000 0.0000 10.8293" Properties=species:S:1:pos:R:3 pbc="T T T"
Mg 1.7347 1.4926 2.7073
Mg 4.5367 3.9113 8.1220
Mg 3.8692 9.3153 8.1220
Mg 1.0672 6.8965 2.7073
Bi 3.8312 6.7866 0.1790
Bi 1.0292 9.4252 10.6503
Bi 1.7727 4.0213 5.5937
Bi 4.5747 1.3827 5.2357
Bi 4.1016 9.2903 2.7073
Bi 1.2997 6.9215 8.1220
Bi 1.5023 1.5175 8.1220
Bi 4.3042 3.8864 2.7073
Bi 1.0292 9.4252 5.5937
Bi 3.8312 6.7866 5.2357
Bi 4.5747 1.3827 0.1790
Bi 1.7727 4.0213 10.6503
O 0.0786 2.4849 9.4325
O 2.8805 2.9191 1.3968
O 5.5253 8.3230 4.0179
O 2.7234 7.8888 6.8114
O 5.5253 8.3230 1.3968
O 2.7234 7.8888 9.4325
O 0.0786 2.4849 6.8114
O 2.8805 2.9191 4.0179
O 2.8580 2.2601 9.5412
O 0.0560 3.1439 1.2881
O 2.7459 8.5478 4.1265
O 5.5479 7.6640 6.7028
O 2.7459 8.5478 1.2881
O 5.5479 7.6640 9.5412
O 2.8580 2.2601 6.7028
O 0.0560 3.1439 4.1265
O 4.7221 5.9178 2.7073
O 1.9202 10.2940 8.1220
O 0.8818 4.8901 8.1220
O 3.6837 0.5138 2.7073
O 4.7860 10.3334 6.4977
O 1.9840 5.8784 4.3316
O 0.8179 0.4745 1.0831
O 3.6199 4.9294 9.7463
O 0.8179 0.4745 4.3316
O 3.6199 4.9294 6.4977
O 4.7860 10.3334 9.7463
O 1.9840 5.8784 1.0831
```

Results
The value obtained for the total energy is -5.54 eV per atom. As for the space-group type: Pnma, No. 62. The value obtained for the volume is 655.9 Å³/cell.

***

(4)
A geometry-optimized Li3Ti4O8 structure, computed with PBE.

```
30
Lattice="-5.2792 7.7025 -2.4485 -3.5445 -3.0623 -1.9913 -2.6954 -0.2445 5.0423" Properties=species:S:1:pos:R:3 pbc="T T T"
Li -3.8016 -0.6352 1.9828
Li -6.2472 2.8859 -0.6985
Li -4.8614 -2.0827 -0.2235
Li -5.1702 4.3081 1.5158
Li -9.0864 4.8412 1.1287
Li -3.8601 1.6372 -1.1882
Ti -7.8135 2.6769 1.6902
Ti -2.3272 -0.2923 -0.4484
Ti -6.1941 0.0598 -0.8942
Ti -6.6903 6.3280 0.8634
Ti -5.0463 1.5084 1.5014
Ti -7.7512 4.7526 -1.4919
Ti -3.9688 4.5547 -1.0585
Ti -6.2735 -2.0217 2.2531
O -9.5315 2.6718 0.6486
O -1.9212 1.6271 -0.0154
O -4.3648 0.1696 0.1417
O -7.2340 4.3424 0.4238
O -3.2492 1.5436 2.4095
O -8.2523 2.8264 -1.7989
O -5.8418 4.3020 -2.0697
O -5.5808 -0.0470 2.7169
O -6.0037 2.8868 2.6436
O -2.9732 -2.2001 -0.8621
O -4.5049 2.9930 0.2148
O -9.6211 5.2065 -0.8215
O -6.8649 1.4116 0.4394
O -7.2304 6.7430 -1.0318
O -5.6575 1.5347 -2.0938
O -3.2466 -0.9543 3.9091
```

Results
The value obtained for the total energy is -7.80 eV per atom. The relative energy among the computed polymorphs is 21 meV per atom. As for the space-group type: P2_1, No. 4. The value obtained for the volume is 281.2 Å³/cell.

***

(5)
A geometry-optimized ZrTiAu structure, computed with PBE.

```
12
Lattice="2.7986 -4.7030 0.0000 2.7986 4.7030 0.0000 0.0000 0.0000 8.7641" Properties=species:S:1:pos:R:3 pbc="T T T"
Zr 2.7986 -1.6651 2.7371
Zr 2.7986 1.5288 1.6041
Zr 2.7986 1.5288 7.1600
Zr 2.7986 -1.6651 6.0270
Ti 2.7986 3.2067 4.3821
Ti 1.4540 -0.8156 0.0000
Ti 4.1433 -0.8156 0.0000
Ti 2.7986 -3.0071 0.0000
Au 2.7986 4.6450 2.1297
Au 2.7986 4.6450 6.6344
Au 4.1558 0.9100 4.3821
Au 1.4415 0.9100 4.3821
```

Results
The value obtained for the total energy is -6.89 eV per atom. As for the space-group type: Amm2, No. 38. The value obtained for the volume is 230.7 Å³/cell.

***

(6)
A geometry-optimized HoSn3 structure, computed with PBE.

```
4
Lattice="-2.6220 -0.6373 3.8616 -3.0601 -2.5639 -2.5009 2.4400 -3.9004 1.0130" Properties=species:S:1:pos:R:3 pbc="T T T"
Ho 0.0000 0.0000 0.0000
Sn -0.0910 -2.2688 2.4373
Sn -0.3101 -3.2322 -0.7440
Sn -2.8411 -1.6006 0.6803
```

Results
The value obtained for the total energy is -4.56 eV per atom. As for the space-group type: Pm-3m, No. 221. The value obtained for the volume is 104.5 Å³/cell.

***

Question: volume of number 4 (Li3Ti4O8)?
Answer: 281.2 Å³/cell

***

Question: What is the formula in the fourth record?
Answer: Li3Ti4O8